# DyZnPd

DyZnPd after structural relaxation (PBE-GGA, the Materials Project database).

Output
- mass density (g/cm³) = 9.3
- formation enthalpy at 0 K (eV per atom) = -0.757

a = 7.3458 Å, b = 7.3458 Å, c = 3.8253 Å
α = 90.00°, β = 90.00°, γ = 120.00°
Last column: nearest neighbours and their distance in Å.
Sites, in units of the cell vectors:
Dy 0.0000 0.4049 0.0000  5 Pd 2.94-2.97, 6 Zn 3.15-3.23
Dy 0.4049 0.0000 0.0000  5 Pd 2.94-2.97, 6 Zn 3.15-3.23
Dy 0.5951 0.5951 0.0000  5 Pd 2.94-2.97, 6 Zn 3.15-3.23
Zn 0.0000 0.7461 0.5000  4 Pd 2.67-2.79
Zn 0.2539 0.2539 0.5000  4 Pd 2.67-2.79
Zn 0.7461 0.0000 0.5000  4 Pd 2.67-2.79
Pd 0.0000 0.0000 0.0000  6 Zn 2.67, 3 Dy 2.97
Pd 0.3333 0.6667 0.5000  3 Zn 2.79, 6 Dy 2.94
Pd 0.6667 0.3333 0.5000  3 Zn 2.79, 6 Dy 2.94

=====

# Pm3Dy

Pm3Dy after structural relaxation (PBE-GGA, the Materials Project database).

Output
- mass density (g/cm³) = 7.2
- formation enthalpy at 0 K (eV per atom) = 0.026
- excess energy over the best structure of this formula in the dataset (meV per atom) = 16

a = 7.3006 Å, b = 7.3006 Å, c = 5.9310 Å
α = 90.00°, β = 90.00°, γ = 120.00°
Last column: nearest neighbours and their distance in Å.
Sites, in units of the cell vectors:
Pm 0.1672 0.3344 0.2500  4 Dy 3.63-3.65, 8 Pm 3.64-3.66
Pm 0.1672 0.8328 0.2500  4 Dy 3.63-3.65, 8 Pm 3.64-3.66
Pm 0.3344 0.1672 0.7500  4 Dy 3.63-3.65, 8 Pm 3.64-3.66
Pm 0.6656 0.8328 0.2500  4 Dy 3.63-3.65, 8 Pm 3.64-3.66
Pm 0.8328 0.1672 0.7500  4 Dy 3.63-3.65, 8 Pm 3.64-3.66
Pm 0.8328 0.6656 0.7500  4 Dy 3.63-3.65, 8 Pm 3.64-3.66
Dy 0.3333 0.6667 0.7500  12 Pm 3.63-3.65
Dy 0.6667 0.3333 0.2500  12 Pm 3.63-3.65

=====

# PmDy3

PmDy3 after structural relaxation (PBE-GGA, the Materials Project database).

Output
- mass density (g/cm³) = 8.0
- formation enthalpy at 0 K (eV per atom) = 0.020
- excess energy over the best structure of this formula in the dataset (meV per atom) = 2

a = 7.2474 Å, b = 7.2474 Å, c = 5.7693 Å
α = 90.00°, β = 90.00°, γ = 120.00°
Last column: nearest neighbours and their distance in Å.
Sites, in units of the cell vectors:
Pm 0.3333 0.6667 0.2500  12 Dy 3.57-3.62
Pm 0.6667 0.3333 0.7500  12 Dy 3.57-3.62
Dy 0.1655 0.3310 0.7500  8 Dy 3.55-3.65, 4 Pm 3.57-3.62
Dy 0.1655 0.8345 0.7500  8 Dy 3.55-3.65, 4 Pm 3.57-3.62
Dy 0.3310 0.1655 0.2500  8 Dy 3.55-3.65, 4 Pm 3.57-3.62
Dy 0.6690 0.8345 0.7500  8 Dy 3.55-3.65, 4 Pm 3.57-3.62
Dy 0.8345 0.1655 0.2500  8 Dy 3.55-3.65, 4 Pm 3.57-3.62
Dy 0.8345 0.6690 0.2500  8 Dy 3.55-3.65, 4 Pm 3.57-3.62

=====

# PmDy3

PmDy3 after structural relaxation (PBE-GGA, the Materials Project database).

Output
- mass density (g/cm³) = 8.2
- formation enthalpy at 0 K (eV per atom) = 0.018
- excess energy over the best structure of this formula in the dataset (meV per atom) = 0

a = 5.0448 Å, b = 5.0448 Å, c = 5.0448 Å
α = 90.00°, β = 90.00°, γ = 90.00°
Last column: nearest neighbours and their distance in Å.
Sites, in units of the cell vectors:
Pm 0.0000 0.0000 0.0000  12 Dy 3.57
Dy 0.0000 0.5000 0.5000  8 Dy 3.57, 4 Pm 3.57
Dy 0.5000 0.0000 0.5000  8 Dy 3.57, 4 Pm 3.57
Dy 0.5000 0.5000 0.0000  8 Dy 3.57, 4 Pm 3.57

=====

# Pm3Dy

Pm3Dy after structural relaxation (PBE-GGA, the Materials Project database).

Output
- mass density (g/cm³) = 7.3
- formation enthalpy at 0 K (eV per atom) = 0.010
- excess energy over the best structure of this formula in the dataset (meV per atom) = 0

a = 5.1372 Å, b = 5.1372 Å, c = 5.1372 Å
α = 90.00°, β = 90.00°, γ = 90.00°
Last column: nearest neighbours and their distance in Å.
Sites, in units of the cell vectors:
Pm 0.0000 0.0000 0.5000  4 Dy 3.63, 8 Pm 3.63
Pm 0.0000 0.5000 0.0000  4 Dy 3.63, 8 Pm 3.63
Pm 0.5000 0.0000 0.0000  4 Dy 3.63, 8 Pm 3.63
Dy 0.5000 0.5000 0.5000  12 Pm 3.63

=====

# PmDy3

PmDy3 after structural relaxation (PBE-GGA, the Materials Project database).

Output
- mass density (g/cm³) = 8.1
- formation enthalpy at 0 K (eV per atom) = 0.022
- excess energy over the best structure of this formula in the dataset (meV per atom) = 4

a = 6.1920 Å, b = 6.1920 Å, c = 6.1920 Å
α = 131.75°, β = 131.75°, γ = 70.62°
Last column: nearest neighbours and their distance in Å.
Sites, in units of the cell vectors:
Pm 0.0000 0.0000 0.0000  12 Dy 3.58
Dy 0.2500 0.7500 0.5000  8 Dy 3.58, 4 Pm 3.58
Dy 0.5000 0.5000 0.0000  8 Dy 3.58, 4 Pm 3.58
Dy 0.7500 0.2500 0.5000  8 Dy 3.58, 4 Pm 3.58

=====

# PrDy3

PrDy3 after structural relaxation (PBE-GGA, the Materials Project database).

Output
- mass density (g/cm³) = 8.0
- formation enthalpy at 0 K (eV per atom) = 0.020
- excess energy over the best structure of this formula in the dataset (meV per atom) = 0

a = 5.0716 Å, b = 5.0716 Å, c = 5.0716 Å
α = 90.00°, β = 90.00°, γ = 90.00°
Last column: nearest neighbours and their distance in Å.
Sites, in units of the cell vectors:
Pr 0.0000 0.0000 0.0000  12 Dy 3.59
Dy 0.0000 0.5000 0.5000  8 Dy 3.59, 4 Pr 3.59
Dy 0.5000 0.0000 0.5000  8 Dy 3.59, 4 Pr 3.59
Dy 0.5000 0.5000 0.0000  8 Dy 3.59, 4 Pr 3.59

=====

# Pr3Dy

Pr3Dy after structural relaxation (PBE-GGA, the Materials Project database).

Output
- mass density (g/cm³) = 6.9
- formation enthalpy at 0 K (eV per atom) = 0.018
- excess energy over the best structure of this formula in the dataset (meV per atom) = 9

a = 6.3691 Å, b = 6.3691 Å, c = 6.3691 Å
α = 131.85°, β = 131.85°, γ = 70.47°
Last column: nearest neighbours and their distance in Å.
Sites, in units of the cell vectors:
Pr 0.0000 0.0000 0.0000  4 Dy 3.67, 8 Pr 3.68
Pr 0.2500 0.7500 0.5000  8 Pr 3.67-3.68, 4 Dy 3.68
Pr 0.7500 0.2500 0.5000  8 Pr 3.67-3.68, 4 Dy 3.68
Dy 0.5000 0.5000 0.0000  12 Pr 3.67-3.68

=====

Repeat the fifth record exactly.
# Pm3Dy

Pm3Dy after structural relaxation (PBE-GGA, the Materials Project database).

Output
- mass density (g/cm³) = 7.3
- formation enthalpy at 0 K (eV per atom) = 0.010
- excess energy over the best structure of this formula in the dataset (meV per atom) = 0

a = 5.1372 Å, b = 5.1372 Å, c = 5.1372 Å
α = 90.00°, β = 90.00°, γ = 90.00°
Last column: nearest neighbours and their distance in Å.
Sites, in units of the cell vectors:
Pm 0.0000 0.0000 0.5000  4 Dy 3.63, 8 Pm 3.63
Pm 0.0000 0.5000 0.0000  4 Dy 3.63, 8 Pm 3.63
Pm 0.5000 0.0000 0.0000  4 Dy 3.63, 8 Pm 3.63
Dy 0.5000 0.5000 0.5000  12 Pm 3.63

=====

Question: What is the formula in the fifth record?
Answer: Pm3Dy